(1)
Density functional theory data (r²SCAN) for a geometry-optimized K3AsS3 structure.

Structure (CIF):
```
data_K3AsS3
_space_group_name_H-M_alt 'P 21 3'
_space_group_IT_number 198
_space_group_name_Hall 'P 2ac 2ab 3'
_cell_length_a 9.4031
_cell_length_b 9.4031
_cell_length_c 9.4031
_cell_angle_alpha 90.00
_cell_angle_beta 90.00
_cell_angle_gamma 90.00
loop_
_atom_site_label
_atom_site_fract_x
_atom_site_fract_y
_atom_site_fract_z
K1 0.0596 0.4404 0.5596
K2 0.0662 0.5662 0.9338
K3 0.1737 0.1737 0.1737
As1 0.2275 0.7725 0.2725
S1 0.0435 0.2457 0.8451
```

## Properties
ΔE_f in kcal/mol of atoms: -25.6
Crystal system: cubic

(2)
Density functional theory data (r²SCAN) for a geometry-optimized K4As2Se5 structure.

Structure (CIF):
```
data_K4As2Se5
_space_group_name_H-M_alt 'P 1 21/c 1'
_space_group_IT_number 14
_space_group_name_Hall '-P 2ybc'
_cell_length_a 7.7035
_cell_length_b 22.9750
_cell_length_c 9.6829
_cell_angle_alpha 90.00
_cell_angle_beta 122.27
_cell_angle_gamma 90.00
loop_
_atom_site_label
_atom_site_fract_x
_atom_site_fract_y
_atom_site_fract_z
K1 0.2336 0.1555 0.4914
K2 0.2491 0.5412 0.9951
K3 0.2493 0.5473 0.4977
K4 0.2527 0.7451 0.4965
As1 0.1567 0.1432 0.8609
As2 0.3555 0.1486 0.1719
Se1 0.1916 0.6438 0.7301
Se2 0.2387 0.2299 0.7797
Se3 0.2423 0.0622 0.7605
Se4 0.2638 0.0598 0.2390
Se5 0.3046 0.6421 0.2614
```

## Properties
ΔE_f in kcal/mol of atoms: -22.1
Crystal system: monoclinic

(3)
Density functional theory data (r²SCAN) for a geometry-optimized K3AsSe4 structure.

Structure (CIF):
```
data_K3AsSe4
_space_group_name_H-M_alt 'P n m a'
_space_group_IT_number 62
_space_group_name_Hall '-P 2ac 2n'
_cell_length_a 9.4898
_cell_length_b 10.9881
_cell_length_c 9.9091
_cell_angle_alpha 90.00
_cell_angle_beta 90.00
_cell_angle_gamma 90.00
loop_
_atom_site_label
_atom_site_fract_x
_atom_site_fract_y
_atom_site_fract_z
K1 0.0682 0.0452 0.1948
K2 0.1402 0.7500 0.4191
As1 0.2224 0.7500 0.9762
Se1 0.0085 0.7500 0.0943
Se2 0.1502 0.0754 0.5288
Se3 0.1758 0.7500 0.7463
```

## Properties
ΔE_f in kcal/mol of atoms: -22.5
Crystal system: orthorhombic

(4)
Density functional theory data (r²SCAN) for a geometry-optimized K5SnAs3 structure.

Structure (CIF):
```
data_K5SnAs3
_space_group_name_H-M_alt 'P 1 21/c 1'
_space_group_IT_number 14
_space_group_name_Hall '-P 2ybc'
_cell_length_a 9.2448
_cell_length_b 8.3444
_cell_length_c 17.7948
_cell_angle_alpha 90.00
_cell_angle_beta 121.09
_cell_angle_gamma 90.00
loop_
_atom_site_label
_atom_site_fract_x
_atom_site_fract_y
_atom_site_fract_z
K1 0.0498 0.0126 0.2442
K2 0.2345 0.5178 0.5761
K3 0.3376 0.6638 0.2588
K4 0.3408 0.1707 0.9198
K5 0.3968 0.0056 0.5883
Sn1 0.0112 0.1409 0.5856
As1 0.0152 0.1845 0.4349
As2 0.2600 0.7410 0.4200
As3 0.3005 0.2274 0.7242
```

## Properties
ΔE_f in kcal/mol of atoms: -13.4
Crystal system: monoclinic